[1]
21
Lattice="12.3083 -2.0322 0.0000 12.3083 2.0322 0.0000 -0.9962 0.0000 9.6427" Properties=species:S:1:pos:R:3 comment="Nd3Se2NO (GGA-PBE, optimized geometry)" energy_corrected_mp2020_ev_per_atom=-7.20 total_magnetization_mub_per_fu=0.00 pbc="T T T"
Nd 0.0000 0.0000 0.0000
Nd 1.9198 0.0000 3.3222
Nd 6.4275 0.0000 3.2352
Nd 7.8985 0.0000 6.6786
Nd 12.3781 0.0000 6.5628
Nd 15.3037 0.0000 0.2422
Nd 17.0967 0.0000 6.3461
Nd 19.9556 0.0000 0.2014
Nd 21.7832 0.0000 3.5489
Se 2.2905 0.0000 6.5364
Se 4.5477 0.0000 9.3579
Se 9.7988 0.0000 0.3720
Se 12.0085 0.0000 3.3419
Se 16.3534 0.0000 3.3608
Se 22.5512 0.0000 6.5821
N 2.0678 0.0000 1.1109
N 12.2565 0.0000 8.7710
N 19.7429 0.0000 2.4789
O 5.7800 0.0000 5.5967
O 8.5179 0.0000 4.4007
O 19.2074 0.0000 7.3342

[2]
Density functional theory data (GGA-PBE) for DyAgSn2 after structural relaxation.

```
4
Lattice="4.6362 0.0000 0.0000 0.0000 4.6362 0.0000 0.0000 0.0000 4.4436" Properties=species:S:1:pos:R:3 pbc="T T T"
Dy 0.0000 0.0000 0.0000
Ag 2.3181 2.3181 0.0000
Sn 0.0000 2.3181 2.2218
Sn 2.3181 0.0000 2.2218
```

[3]
2
Lattice="-3.7262 3.7262 1.9995 3.7262 -3.7262 1.9995 3.7262 3.7262 -1.9995" Properties=species:S:1:pos:R:3 comment="Sr (GGA-PBE, optimized geometry)" de_polymorph_mev_per_atom=259 total_magnetization_mub_per_fu=0.28 pbc="T T T"
Sr 3.7262 1.8631 0.4999
Sr 0.0000 1.8631 1.4996

[4]
Density functional theory data (GGA-PBE) for Y3Tl after structural relaxation.

```
8
Lattice="6.9135 0.0000 0.0000 -3.4568 5.9873 0.0000 0.0000 0.0000 5.6912" Properties=species:S:1:pos:R:3 pbc="T T T"
Y 0.0000 2.0368 1.4228
Y -1.6928 4.9689 1.4228
Y 1.7640 1.0184 4.2684
Y 1.6928 4.9689 1.4228
Y 5.1496 1.0184 4.2684
Y 3.4568 3.9504 4.2684
Tl 0.0000 3.9915 4.2684
Tl 3.4568 1.9958 1.4228
```

[5]
38
Lattice="4.5547 2.6296 10.5787 -4.5547 2.6296 10.5787 0.0000 -5.2593 10.5787" Properties=species:S:1:pos:R:3 comment="Eu2Re6S11 (GGA-PBE, optimized geometry)" energy_corrected_mp2020_ev_per_atom=-8.53 total_magnetization_mub_per_fu=14.00 pbc="T T T"
Eu 0.0000 0.0000 6.0369
Eu 0.0000 0.0000 9.8311
Eu 0.0000 0.0000 21.9049
Eu 0.0000 0.0000 25.6992
Re -0.9483 -4.0713 11.6697
Re -4.0000 -1.2144 20.0664
Re -3.0517 2.8569 11.6696
Re -0.9483 -1.1880 14.7771
Re -1.5030 0.2273 16.9590
Re -0.5547 1.4153 14.7771
Re 0.5547 -1.4153 16.9590
Re 1.5030 -0.2273 14.7771
Re 0.9483 1.1880 16.9590
Re 3.0517 -2.8569 20.0664
Re 4.0000 1.2144 11.6697
Re 0.9483 4.0713 20.0664
S 2.2768 2.6296 18.5127
S -2.2768 -2.6296 13.2234
S -2.8063 0.4363 11.5402
S 0.0000 0.0000 2.9449
S -2.7736 0.4175 14.9066
S -1.7483 -2.1933 16.8295
S -3.4157 0.6569 18.5127
S -1.7810 -2.2122 20.1959
S 1.0253 -2.6485 11.5402
S 0.0000 0.0000 12.9231
S 1.0253 -2.6108 14.9066
S 1.1390 -3.2866 18.5127
S -1.1390 3.2866 13.2234
S -1.0253 2.6108 16.8295
S 0.0000 0.0000 18.8129
S -1.0253 2.6485 20.1959
S 1.7810 2.2122 11.5401
S 3.4157 -0.6569 13.2234
S 1.7484 2.1933 14.9066
S 2.7736 -0.4175 16.8295
S 0.0000 0.0000 28.7912
S 2.8063 -0.4363 20.1959

[6]
14
Lattice="3.8224 2.2069 6.1444 -3.8224 2.2069 6.1444 0.0000 -4.4138 6.1444" Properties=species:S:1:pos:R:3 comment="Mg2MnIn3S8 (GGA-PBE, optimized geometry)" energy_corrected_mp2020_ev_per_atom=-4.90 total_magnetization_mub_per_fu=4.00 pbc="T T T"
Mg 0.0000 0.0000 2.2820
Mg 0.0000 0.0000 16.1511
Mn 0.0000 0.0000 9.2166
In -1.9112 -1.1034 6.1444
In -1.9112 1.1034 12.2888
In 0.0000 2.2069 6.1444
S 0.0000 0.0000 4.7451
S 0.0000 -2.0122 7.7325
S -1.7426 1.0061 7.7325
S -1.7426 -1.0061 10.7007
S 1.7426 1.0061 7.7325
S 1.7426 -1.0061 10.7007
S 0.0000 2.0122 10.7007
S 0.0000 0.0000 13.6880

DFT formation energy per entry: -15.82 -1.77 0.26 -0.75 -21.39 -14.83 eV per formula unit